Record 1
## Li2CuSiO4 (PBE-GGA)

Data for a geometry-optimized Li2CuSiO4 structure.

Summary:
E ... -6.089 eV/atom
Energy above the most stable polymorph in this dataset ... 1.218 kcal/mol of atoms
V ... 358.2 Å³ per cell
SG ... No. 14
Energy of formation from the pure elements ... -2291 meV/atom

Unit cell a=6.8946 b=5.1471 c=10.0951 alpha=90.00 beta=90.19 gamma=90.00
Last column: nearest neighbours and their distance in Å.
Element x y z (fractional)
Li: 0.0036 0.2437 0.1558  4 O 1.98-2.00
Li: 0.0036 0.2563 0.6558  4 O 1.98-2.00
Li: 0.2394 0.1211 0.8421  3 O 1.94-2.06
Li: 0.2394 0.3789 0.3421  3 O 1.94-2.06
Li: 0.7606 0.6211 0.6579  3 O 1.94-2.06
Li: 0.7606 0.8789 0.1579  3 O 1.94-2.06
Li: 0.9964 0.7437 0.3442  4 O 1.98-2.00
Li: 0.9964 0.7563 0.8442  4 O 1.98-2.00
Cu: 0.4990 0.2262 0.6337  3 O 1.89-2.05
Cu: 0.4990 0.2738 0.1337  3 O 1.89-2.05
Cu: 0.5010 0.7262 0.8663  3 O 1.89-2.05
Cu: 0.5010 0.7738 0.3663  3 O 1.89-2.05
Si: 0.2415 0.7489 0.1017  4 O 1.61-1.68
Si: 0.2415 0.7511 0.6017  4 O 1.61-1.68
Si: 0.7585 0.2489 0.3983  4 O 1.61-1.68
Si: 0.7585 0.2511 0.8983  4 O 1.61-1.68
O: 0.0414 0.6378 0.6606  1 Si 1.61
O: 0.0414 0.8622 0.1606  1 Si 1.61
O: 0.2511 0.7118 0.4390  1 Si 1.66
O: 0.2511 0.7882 0.9390  1 Si 1.66
O: 0.2524 0.0657 0.6399  1 Si 1.67
O: 0.2524 0.4343 0.1399  1 Si 1.67
O: 0.4403 0.6111 0.6671  1 Si 1.68
O: 0.4403 0.8889 0.1671  1 Si 1.68
O: 0.5597 0.1111 0.8329  1 Si 1.68
O: 0.5597 0.3889 0.3329  1 Si 1.68
O: 0.7476 0.5657 0.8601  1 Si 1.67
O: 0.7476 0.9343 0.3601  1 Si 1.67
O: 0.7489 0.2118 0.0610  1 Si 1.66
O: 0.7489 0.2882 0.5610  1 Si 1.66
O: 0.9586 0.1378 0.8394  1 Si 1.61
O: 0.9586 0.3622 0.3394  1 Si 1.61


Record 2
## Li6Zn3P4S16 (PBE-GGA)

Data for a geometry-optimized Li6Zn3P4S16 structure.

Summary:
E ... -4.279 eV/atom
Energy above the most stable polymorph in this dataset ... 0.082 kcal/mol of atoms
V ... 2504.6 Å³ per cell
SG ... No. 1
Energy of formation from the pure elements ... -1002 meV/atom

Unit cell a=9.3169 b=11.5959 c=23.1825 alpha=89.92 beta=89.97 gamma=89.98
Last column: nearest neighbours and their distance in Å.
Element x y z (fractional)
Li: 0.0000 0.0000 0.0000  4 S 2.41-2.49
Li: 0.0002 0.4958 0.4999  4 S 2.41-2.49
Li: 0.0018 0.9972 0.5005  4 S 2.46-2.51
Li: 0.0059 0.4958 0.0014  4 S 2.36-2.47
Li: 0.0065 0.4946 0.7487  4 S 2.45-2.50
Li: 0.0111 0.9963 0.7474  4 S 2.38-2.46
Li: 0.0152 0.2475 0.8745  4 S 2.37-2.43
Li: 0.2506 0.7488 0.2473  4 S 2.52-2.62
Li: 0.2543 0.7490 0.0003  4 S 2.57-2.60
Li: 0.4886 0.2457 0.8746  4 S 2.39-2.52
Li: 0.4974 0.4965 0.7477  4 S 2.39-2.44
Li: 0.4999 0.7457 0.6252  4 S 2.41-2.51
Li: 0.5015 0.2475 0.6242  4 S 2.41-2.49
Li: 0.5014 0.7452 0.8723  4 S 2.39-2.43
Li: 0.5032 0.2472 0.3747  4 S 2.47-2.49
Li: 0.5039 0.9984 0.0006  4 S 2.38-2.43
Li: 0.5054 0.7479 0.3771  4 S 2.43-2.48
Li: 0.5060 0.2462 0.1249  4 S 2.39-2.47
Li: 0.5119 0.7471 0.1240  4 S 2.42-2.48
Li: 0.7510 0.0002 0.8765  4 S 2.57-2.64
Li: 0.7551 0.4927 0.8717  4 S 2.54-2.63
Li: 0.9924 0.7479 0.1248  4 S 2.39-2.42
Li: 0.9963 0.4940 0.2490  4 S 2.41-2.50
Li: 0.9968 0.9992 0.2499  4 S 2.42-2.48
Zn: 0.0022 0.2458 0.3747  4 S 2.36-2.38
Zn: 0.0032 0.2465 0.1233  4 S 2.36-2.40
Zn: 0.0038 0.2468 0.6258  4 S 2.36-2.39
Zn: 0.0049 0.7452 0.6242  4 S 2.35-2.38
Zn: 0.0099 0.7454 0.8734  4 S 2.33-2.38
Zn: 0.4988 0.9961 0.7496  4 S 2.36-2.38
Zn: 0.5034 0.4949 0.5009  4 S 2.34-2.41
Zn: 0.5038 0.4962 0.9996  4 S 2.36-2.37
Zn: 0.5038 0.9959 0.5005  4 S 2.35-2.39
Zn: 0.5095 0.4953 0.2504  4 S 2.35-2.40
Zn: 0.5088 0.9989 0.2483  4 S 2.34-2.41
Zn: 0.9967 0.7481 0.3758  4 S 2.35-2.40
P: 0.2498 0.4954 0.8774  4 S 2.02-2.12
P: 0.2503 0.9958 0.3745  4 S 2.06-2.10
P: 0.2520 0.5007 0.6234  4 S 2.02-2.08
P: 0.2532 0.4972 0.1228  4 S 2.04-2.11
P: 0.2525 0.9919 0.1277  4 S 2.06-2.07
P: 0.2529 0.9965 0.6241  4 S 2.06-2.07
P: 0.2556 0.4971 0.3739  4 S 2.05-2.10
P: 0.2560 0.9980 0.8727  4 S 2.02-2.13
P: 0.7525 0.7468 0.5000  4 S 2.06-2.07
P: 0.7530 0.2434 0.0012  4 S 2.01-2.12
P: 0.7530 0.2467 0.4994  4 S 2.06-2.07
P: 0.7526 0.2497 0.7478  4 S 2.01-2.12
P: 0.7527 0.7429 0.2507  4 S 2.02-2.08
P: 0.7527 0.7489 0.9958  4 S 2.02-2.10
P: 0.7536 0.2468 0.2496  4 S 2.06-2.07
P: 0.7537 0.7480 0.7516  4 S 2.05-2.10
S: 0.1286 0.8876 0.1795  1 P 2.06
S: 0.1308 0.0981 0.8222  1 P 2.02
S: 0.1314 0.6070 0.5702  1 P 2.07
S: 0.1322 0.3931 0.9296  1 P 2.02
S: 0.1327 0.6084 0.3221  1 P 2.10
S: 0.1351 0.6077 0.0732  1 P 2.04
S: 0.1351 0.8854 0.9270  1 P 2.13, 1 Zn 2.36
S: 0.1369 0.3878 0.4251  1 P 2.06
S: 0.1377 0.1069 0.3220  1 P 2.06
S: 0.1382 0.1082 0.5723  1 P 2.06
S: 0.1382 0.3878 0.1756  1 P 2.06
S: 0.1385 0.1029 0.0749  1 P 2.07
S: 0.1392 0.3866 0.6755  1 P 2.07
S: 0.1385 0.8838 0.4267  1 P 2.06
S: 0.1404 0.6075 0.8227  1 P 2.08, 1 Zn 2.33
S: 0.1401 0.8836 0.6757  1 P 2.06
S: 0.3637 0.3929 0.5674  1 P 2.08
S: 0.3640 0.6028 0.6775  1 P 2.02
S: 0.3664 0.3924 0.3177  1 P 2.06
S: 0.3670 0.1004 0.6797  1 P 2.06
S: 0.3674 0.8920 0.5683  1 P 2.07
S: 0.3683 0.6005 0.4296  1 P 2.05
S: 0.3690 0.0971 0.9282  1 P 2.02
S: 0.3687 0.0981 0.4290  1 P 2.06
S: 0.3714 0.0998 0.1802  1 P 2.07
S: 0.3707 0.8886 0.8189  1 P 2.07
S: 0.3710 0.8900 0.0729  1 P 2.06
S: 0.3717 0.3984 0.8239  1 P 2.02
S: 0.3732 0.8926 0.3189  1 P 2.10
S: 0.3739 0.3928 0.0704  1 P 2.05
S: 0.3741 0.6050 0.9311  1 P 2.12, 1 Zn 2.36
S: 0.3746 0.6006 0.1796  1 P 2.11
S: 0.6277 0.8523 0.9444  1 P 2.05
S: 0.6304 0.6376 0.3038  1 P 2.07
S: 0.6325 0.3521 0.6970  1 P 2.01
S: 0.6332 0.1365 0.8016  1 P 2.12
S: 0.6340 0.1411 0.0525  1 P 2.01
S: 0.6344 0.3563 0.9473  1 P 2.12, 1 Zn 2.36
S: 0.6360 0.6383 0.8021  1 P 2.05
S: 0.6380 0.1353 0.5513  1 P 2.06
S: 0.6375 0.6356 0.5517  1 P 2.06
S: 0.6383 0.8556 0.1984  1 P 2.08
S: 0.6389 0.3584 0.4471  1 P 2.07
S: 0.6387 0.6377 0.0490  1 P 2.08
S: 0.6389 0.8577 0.6991  1 P 2.06
S: 0.6397 0.1355 0.3021  1 P 2.07
S: 0.6400 0.3584 0.1975  1 P 2.06
S: 0.6397 0.8592 0.4476  1 P 2.07
S: 0.8652 0.6417 0.4439  1 P 2.07
S: 0.8665 0.6407 0.1969  1 P 2.02
S: 0.8657 0.8505 0.3059  1 P 2.08
S: 0.8674 0.1421 0.4435  1 P 2.07
S: 0.8674 0.1438 0.1937  1 P 2.06
S: 0.8670 0.3504 0.3058  1 P 2.06
S: 0.8669 0.8505 0.5554  1 P 2.06
S: 0.8677 0.3495 0.5550  1 P 2.06
S: 0.8704 0.8487 0.0492  1 P 2.02
S: 0.8715 0.1446 0.9452  1 P 2.06
S: 0.8710 0.6456 0.6964  1 P 2.06
S: 0.8724 0.1417 0.6956  1 P 2.07
S: 0.8722 0.3493 0.8035  1 P 2.06
S: 0.8720 0.3512 0.0539  1 P 2.07
S: 0.8757 0.6395 0.9429  1 P 2.10
S: 0.8767 0.8546 0.8053  1 P 2.10


Record 3
## K3InBr6 (PBE-GGA)

Data for a geometry-optimized K3InBr6 structure.

Summary:
E ... -2.926 eV/atom
V ... 394.5 Å³ per cell
SG ... No. 225
Energy of formation from the pure elements ... -1656 meV/atom

Unit cell a=8.2320 b=8.2320 c=8.2320 alpha=60.00 beta=60.00 gamma=60.00
Last column: nearest neighbours and their distance in Å.
Element x y z (fractional)
K: 0.0000 0.0000 0.0000  6 Br 3.12
K: 0.2500 0.2500 0.2500  12 Br 4.12
K: 0.7500 0.7500 0.7500  12 Br 4.12
In: 0.5000 0.5000 0.5000  6 Br 2.70
Br: 0.2681 0.2681 0.7319  1 In 2.70
Br: 0.2681 0.7319 0.2681  1 In 2.70
Br: 0.2681 0.7319 0.7319  1 In 2.70
Br: 0.7319 0.2681 0.2681  1 In 2.70
Br: 0.7319 0.2681 0.7319  1 In 2.70
Br: 0.7319 0.7319 0.2681  1 In 2.70


Record 4
## MgCu5P2O10 (PBE-GGA)

Data for a geometry-optimized MgCu5P2O10 structure.

Summary:
E ... -5.881 eV/atom
V ... 233.4 Å³ per cell
SG ... No. 1
Energy of formation from the pure elements ... -1685 meV/atom

Unit cell a=5.4543 b=6.0544 c=7.9706 alpha=83.21 beta=80.79 gamma=64.09
Last column: nearest neighbours and their distance in Å.
Element x y z (fractional)
Mg: 0.0000 0.0000 0.0000  6 O 2.11-2.30
Cu: 0.2609 0.3965 0.8477  4 O 1.96-2.18
Cu: 0.3944 0.7536 0.5579  3 O 1.96-2.01
Cu: 0.6041 0.2436 0.4433  3 O 1.96-2.02
Cu: 0.7385 0.6012 0.1537  4 O 1.96-2.18
Cu: 0.9993 0.4987 0.5006  2 O 1.86
P: 0.1817 0.0685 0.2332  4 O 1.51-1.60
P: 0.8169 0.9281 0.7687  4 O 1.51-1.60
O: 0.0880 0.9666 0.7237  1 P 1.58
O: 0.0908 0.2943 0.0950  1 P 1.60
O: 0.3026 0.4620 0.6003  4 Cu 1.86-2.01
O: 0.3100 0.0961 0.3797  1 P 1.51
O: 0.3629 0.8473 0.1176  1 P 1.57
O: 0.6358 0.1496 0.8842  1 P 1.57
O: 0.6885 0.9007 0.6222  1 P 1.51
O: 0.6962 0.5352 0.4010  4 Cu 1.86-2.02
O: 0.9081 0.7024 0.9067  1 P 1.60
O: 0.9104 0.0303 0.2779  1 P 1.57